A plane-wave DFT calculation with PBE was carried out for an optimized crystal structure of Mg10Si3O18.

DFT total energy = -6.3537 eV/atom
Magnetic moment = 8.0 μB/cell
DFT formation energy = -2.838 eV/atom
Theoretical density = 3.2 g/cm3

a = 5.1516 Å, b = 14.1565 Å, c = 8.7665 Å
α = 90.00°, β = 90.00°, γ = 90.00°
Closest atoms and distances in Å follow each position.
Space group Pnnm (No. 58)
Inequivalent atoms, fractional coordinates:
Mg 0.0000 0.0000 0.1571  6 O 2.07-2.14
Mg 0.0000 0.5000 0.1787  6 O 2.08-2.17
Mg 0.1459 0.1757 0.3211  5 O 1.96-2.14
Mg 0.1727 0.3265 0.0000  5 O 1.99-2.13
Si 0.0000 0.0000 0.5000  6 O 1.81-1.89
Si 0.0028 0.6238 0.5000  4 O 1.65-1.68
O 0.0013 0.2574 0.5000  1 Si 1.68
O 0.0122 0.7434 0.1646  3 Mg 1.96-2.01
O 0.1443 0.9268 0.3536  1 Si 1.81
O 0.1624 0.5878 0.3430  1 Si 1.68
O 0.1992 0.5770 0.0000  1 Si 1.89
O 0.2061 0.9210 0.0000  1 Si 1.65

***

A plane-wave DFT calculation with PBE was carried out for an optimized crystal structure of KZrF5.

DFT total energy = -6.2224 eV/atom
DFT formation energy = -3.805 eV/atom
Theoretical density = 3.7 g/cm3

a = 7.5044 Å, b = 8.6222 Å, c = 10.9178 Å
α = 75.21°, β = 71.73°, γ = 66.21°
Closest atoms and distances in Å follow each position.
Space group P-1 (No. 2)
Inequivalent atoms, fractional coordinates:
K 0.2163 0.0062 0.2672  7 F 2.61-2.83
K 0.2455 0.6572 0.5716  6 F 2.63-2.80
K 0.2768 0.3224 0.9210  6 F 2.75-2.99
Zr 0.2188 0.5281 0.2451  8 F 2.02-2.23
Zr 0.2404 0.8332 0.9313  8 F 2.01-2.23
Zr 0.2662 0.1592 0.5807  6 F 2.02-2.24
F 0.0787 0.7357 0.3613  2 Zr 2.17-2.30, 1 F 2.37
F 0.0924 0.0578 0.0354  2 Zr 2.21-2.23, 1 F 2.39
F 0.1100 0.3851 0.6983  2 Zr 2.20-2.30, 1 F 2.37
F 0.1289 0.6275 0.0562  2 Zr 2.22-2.23, 1 F 2.38
F 0.1549 0.3345 0.2174  1 Zr 2.03
F 0.1642 0.0104 0.5241  1 Zr 2.03
F 0.1738 0.3727 0.4393  2 Zr 2.11-2.21
F 0.1852 0.0522 0.7767  2 Zr 2.11-2.18
F 0.1852 0.7454 0.7987  1 Zr 2.01
F 0.3197 0.7413 0.1225  2 Zr 2.21-2.23, 1 F 2.38
F 0.4404 0.5084 0.3226  1 Zr 2.02
F 0.4643 0.9230 0.9018  1 Zr 2.03
F 0.4797 0.2209 0.6123  1 Zr 2.02
F 0.4918 0.0978 0.3981  2 Zr 2.20-2.24, 1 F 2.43
F 0.4915 0.3877 0.1131  2 Zr 2.16-2.18

***

A plane-wave DFT calculation with PBE was carried out for an optimized crystal structure of CrPb3N3.

DFT total energy = -6.2175 eV/atom
Magnetic moment = 0.0 μB/cell
DFT formation energy = 0.171 eV/atom
Theoretical density = 7.8 g/cm3

a = 8.1334 Å, b = 8.1334 Å, c = 5.3226 Å
α = 90.00°, β = 90.00°, γ = 120.00°
Closest atoms and distances in Å follow each position.
Space group P6_3/m (No. 176)
Inequivalent atoms, fractional coordinates:
Cr 0.3333 0.6667 0.2500  3 N 1.73
Pb 0.1081 0.4026 0.7500  1 N 2.39
N 0.1045 0.4752 0.2500  1 Cr 1.73

***

A plane-wave DFT calculation with PBE was carried out for an optimized crystal structure of CeGe2Au2.

DFT total energy = -4.8489 eV/atom
DFT formation energy = -0.503 eV/atom
Theoretical density = 10.9 g/cm3

a = 4.4372 Å, b = 4.4372 Å, c = 10.5485 Å
α = 90.00°, β = 90.00°, γ = 90.00°
Closest atoms and distances in Å follow each position.
Space group I4/mmm (No. 139)
Inequivalent atoms, fractional coordinates:
Ce 0.0000 0.0000 0.0000  8 Ge 3.36, 8 Au 3.45
Ge 0.0000 0.0000 0.3851  1 Ge 2.42, 4 Au 2.64
Au 0.0000 0.5000 0.2500  4 Ge 2.64

***

A plane-wave DFT calculation with PBE was carried out for an optimized crystal structure of KGaTe2.

DFT total energy = -3.2783 eV/atom
Magnetic moment = 0.0 μB/cell
DFT formation energy = -0.883 eV/atom
Theoretical density = 4.0 g/cm3

a = 7.9302 Å, b = 7.9302 Å, c = 9.7177 Å
α = 90.00°, β = 90.00°, γ = 90.00°
Closest atoms and distances in Å follow each position.
Space group I-42d (No. 122)
Inequivalent atoms, fractional coordinates:
K 0.0000 0.0000 0.0000  4 Te 3.54
Ga 0.0000 0.0000 0.5000  4 Te 2.66
Te 0.1632 0.2500 0.6250  2 Ga 2.66

***

A plane-wave DFT calculation with PBE was carried out for an optimized crystal structure of Cs2AgAsCl6.

DFT total energy = -3.2348 eV/atom
Magnetic moment = 0.0 μB/cell
DFT formation energy = -1.566 eV/atom
Theoretical density = 3.7 g/cm3

a = 10.5763 Å, b = 10.5763 Å, c = 10.5763 Å
α = 90.00°, β = 90.00°, γ = 90.00°
Closest atoms and distances in Å follow each position.
Space group Fm-3m (No. 225)
Inequivalent atoms, fractional coordinates:
Cs 0.2500 0.2500 0.2500  12 Cl 3.74
Ag 0.0000 0.0000 0.0000  6 Cl 2.75
As 0.0000 0.0000 0.5000  6 Cl 2.53
Cl 0.0000 0.0000 0.2605  1 As 2.53, 1 Ag 2.75

***

A plane-wave DFT calculation with PBE was carried out for an optimized crystal structure of Na2MgPb.

DFT total energy = -2.1190 eV/atom
DFT formation energy = -0.130 eV/atom
Theoretical density = 3.9 g/cm3

a = 5.1506 Å, b = 5.1506 Å, c = 10.1999 Å
α = 90.00°, β = 90.00°, γ = 120.00°
Closest atoms and distances in Å follow each position.
Space group P6_3/mmc (No. 194)
Inequivalent atoms, fractional coordinates:
Na 0.3333 0.6667 0.0803  4 Pb 3.37-3.44, 4 Na 3.40-3.46, 3 Mg 3.44
Mg 0.0000 0.0000 0.2500  3 Pb 2.97
Pb 0.3333 0.6667 0.7500  3 Mg 2.97

***

A plane-wave DFT calculation with PBE was carried out for an optimized crystal structure of Ag2S.

DFT total energy = -3.2816 eV/atom
Magnetic moment = 0.0 μB/cell
DFT formation energy = -0.182 eV/atom
Theoretical density = 6.2 g/cm3

a = 4.5543 Å, b = 7.0211 Å, c = 9.3436 Å
α = 90.00°, β = 117.39°, γ = 90.00°
Closest atoms and distances in Å follow each position.
Space group P2_1/c (No. 14)
Inequivalent atoms, fractional coordinates:
Ag 0.0245 0.0397 0.2688  2 S 2.42-2.43
Ag 0.3029 0.6763 0.5713  2 S 2.48-2.50
S 0.2314 0.2159 0.6549  4 Ag 2.42-2.50

***

What is the DFT formation energy in the second record?
-3.805 eV/atom

***

What did the fifth record say?
A plane-wave DFT calculation with PBE was carried out for an optimized crystal structure of KGaTe2.

DFT total energy = -3.2783 eV/atom
Magnetic moment = 0.0 μB/cell
DFT formation energy = -0.883 eV/atom
Theoretical density = 4.0 g/cm3

a = 7.9302 Å, b = 7.9302 Å, c = 9.7177 Å
α = 90.00°, β = 90.00°, γ = 90.00°
Closest atoms and distances in Å follow each position.
Space group I-42d (No. 122)
Inequivalent atoms, fractional coordinates:
K 0.0000 0.0000 0.0000  4 Te 3.54
Ga 0.0000 0.0000 0.5000  4 Te 2.66
Te 0.1632 0.2500 0.6250  2 Ga 2.66

***

What is the theoretical density in the eighth record?
6.2 g/cm3